No. 1
Computed, not measured: a relaxed LiGaH4 crystal at the meta-GGA r2SCAN level of DFT.

extended XYZ file:
```
12
Lattice="3.2124 -3.4644 0.0000 3.2124 3.4644 0.0000 0.0000 0.0000 6.0897" Properties=species:S:1:pos:R:3 pbc="T T T"
Li 3.2124 2.9540 4.5673
Li 3.2124 -2.9540 1.5224
Ga 3.2124 1.2314 1.5224
Ga 3.2124 -1.2314 4.5673
H 3.2124 2.2461 0.2876
H 3.2124 2.2461 2.7572
H 1.9237 0.3391 1.5224
H 1.9237 -0.3391 4.5673
H 4.5010 0.3391 1.5224
H 4.5010 -0.3391 4.5673
H 3.2124 -2.2461 3.3324
H 3.2124 -2.2461 5.8021
```

Calculated values
Its space-group type is Cmcm. As for the energy of formation: -14.6 kJ per mole of atoms. The value obtained for the volume is 11.30 Å³/atom.



No. 2
Computed, not measured: a relaxed Ga2NiP3H8NO14 crystal at the meta-GGA r2SCAN level of DFT.

extended XYZ file:
```
58
Lattice="6.6178 -5.0446 0.0000 6.6178 5.0446 0.0000 -2.7022 0.0000 8.4860" Properties=species:S:1:pos:R:3 pbc="T T T"
Ga 2.0758 0.7451 0.5853
Ga 0.7247 -0.7451 4.8283
Ga 9.8087 0.7451 3.6577
Ga 8.4576 -0.7451 7.9008
Ni 4.5912 2.2541 6.3645
Ni 5.9423 -2.2541 2.1215
P 4.5912 5.0258 6.3645
P 1.6135 1.2703 6.9759
P 2.9646 -1.2703 2.7328
P 7.5688 1.2703 5.7532
P 8.9199 -1.2703 1.5102
P 5.9423 -5.0258 2.1215
H 3.4954 2.7816 3.8771
H 3.2853 1.2743 4.3058
H 5.5895 1.8866 1.3802
H 6.2950 1.8866 2.8628
H 8.3892 2.7816 0.3659
H 5.1987 0.6585 2.4832
H 4.6364 -1.2743 0.0628
H 6.6858 0.6585 1.7598
H 3.8476 -0.6585 6.7262
H 5.8970 1.2743 8.4233
H 5.3347 -0.6585 6.0028
H 2.1443 -2.7816 8.1201
H 4.2384 -1.8866 5.6232
H 4.9439 -1.8866 7.1058
H 7.2481 -1.2743 4.1803
H 7.0381 -2.7816 4.6089
N 5.9423 1.2816 2.1215
N 4.5912 -1.2816 6.3645
O 2.7131 2.3113 1.3112
O 3.4849 4.0370 6.7893
O 5.5518 4.1323 0.9754
O 0.9364 0.9236 5.6207
O 6.3327 4.1323 3.2676
O 5.6974 4.0370 5.9398
O 3.8661 2.0538 4.4216
O 1.0339 0.3985 8.1016
O 2.2875 -0.9236 1.3777
O 3.1072 1.0143 6.9263
O 2.3850 -0.3985 3.8586
O 5.3162 2.0538 8.3074
O 1.3620 -2.3113 5.5542
O 6.0751 1.0143 5.8028
O 4.4583 -1.0143 2.6832
O 9.1714 2.3113 2.9318
O 5.2172 -2.0538 0.1786
O 8.1485 0.3985 4.6275
O 7.4262 -1.0143 1.5598
O 8.2460 0.9236 7.1083
O 9.4996 -0.3985 0.3845
O 6.6673 -2.0538 4.0644
O 4.8360 -4.0370 2.5462
O 4.2007 -4.1323 5.2184
O 9.5971 -0.9236 2.8653
O 4.9816 -4.1323 7.5106
O 7.0485 -4.0370 1.6968
O 7.8203 -2.3113 7.1748
```

Calculated values
Its space-group type is C2/c. As for the energy of formation: -164.6 kJ per mole of atoms. The value obtained for the volume is 9.77 Å³/atom.



No. 3
Computed, not measured: a relaxed GaH3O3 crystal at the meta-GGA r2SCAN level of DFT.

extended XYZ file:
```
28
Lattice="5.2816 3.0493 2.1286 -5.2816 3.0493 2.1286 0.0000 -6.0987 2.1286" Properties=species:S:1:pos:R:3 pbc="T T T"
Ga 0.0000 0.0000 0.0000
Ga -2.6408 -1.5247 2.1286
Ga -2.6408 1.5247 4.2572
Ga 0.0000 3.0493 2.1286
H -3.3507 0.8219 2.0547
H -0.2291 -1.7048 1.7300
H -1.3618 1.0508 1.7300
H 0.9636 -3.3128 2.0547
H -2.3872 -2.4908 4.3312
H 1.5910 0.6540 1.7300
H -1.5910 -0.6540 4.6558
H 2.3872 2.4908 2.0547
H -0.9636 3.3128 4.3312
H 1.3618 -1.0508 4.6558
H 0.2291 1.7048 4.6558
H 3.3507 -0.8219 4.3312
O -0.9377 -1.3455 1.1315
O -2.6215 0.4439 2.6079
O -0.6964 1.4848 1.1315
O -1.6952 -2.0483 3.7779
O 1.6340 -0.1393 1.1315
O 0.9263 -2.4923 2.6079
O -0.9263 2.4923 3.7779
O -1.6341 0.1393 5.2543
O 1.6952 2.0484 2.6079
O 0.6964 -1.4848 5.2543
O 2.6215 -0.4439 3.7779
O 0.9376 1.3455 5.2543
```

Calculated values
Its space-group type is R-3. As for the energy of formation: -139.6 kJ per mole of atoms. The value obtained for the volume is 7.35 Å³/atom.



No. 4
Computed, not measured: a relaxed GaHSeO4 crystal at the meta-GGA r2SCAN level of DFT.

extended XYZ file:
```
28
Lattice="11.6401 0.0000 0.0000 0.0000 6.0622 0.0000 0.0000 0.0000 4.4408" Properties=species:S:1:pos:R:3 pbc="T T T"
Ga 0.0000 0.0000 0.0000
Ga 0.0000 3.0311 0.0000
Ga 5.8201 0.0000 2.2204
Ga 5.8201 3.0311 2.2204
H 0.8779 1.5155 1.8080
H 4.9422 4.5466 4.0284
H 6.6980 1.5155 0.4124
H 10.7622 4.5466 2.6328
Se 2.0245 4.5466 2.3099
Se 3.7956 1.5155 0.0895
Se 7.8445 4.5466 4.3513
Se 9.6157 1.5155 2.1309
O 0.6365 4.5466 1.1781
O 0.9139 1.5155 0.8342
O 1.5822 3.2080 3.2514
O 1.5822 5.8853 3.2514
O 4.2378 0.1769 1.0310
O 4.2378 2.8542 1.0310
O 4.9062 4.5466 3.0546
O 5.1836 1.5155 3.3985
O 6.4565 4.5466 1.0423
O 6.7340 1.5155 1.3862
O 7.4023 3.2080 3.4098
O 7.4023 5.8853 3.4098
O 10.0579 0.1769 1.1894
O 10.0579 2.8542 1.1894
O 10.7262 4.5466 3.6066
O 11.0037 1.5155 3.2627
```

Calculated values
Its space-group type is Pnma. As for the energy of formation: -128.4 kJ per mole of atoms. The value obtained for the volume is 11.19 Å³/atom.



No. 5
Computed, not measured: a relaxed RbGaH2 crystal at the meta-GGA r2SCAN level of DFT.

extended XYZ file:
```
16
Lattice="7.4121 0.0000 0.0000 0.0000 4.4840 0.0000 0.0000 0.0000 9.4491" Properties=species:S:1:pos:R:3 pbc="T T T"
Rb 0.8875 1.1210 1.6416
Rb 2.8185 3.3630 6.3662
Rb 4.5935 1.1210 3.0829
Rb 6.5246 3.3630 7.8075
Ga 0.4723 1.1210 5.0471
Ga 3.2338 3.3630 0.3226
Ga 4.1783 1.1210 9.1266
Ga 6.9398 3.3630 4.4020
H 0.7658 1.1210 6.6697
H 1.6455 3.3630 9.2761
H 2.0606 1.1210 4.5515
H 2.9403 3.3630 1.9451
H 4.4718 1.1210 7.5040
H 5.3515 3.3630 4.8976
H 5.7666 1.1210 0.1731
H 6.6463 3.3630 2.7795
```

Calculated values
Its space-group type is Pnma. As for the energy of formation: -29.1 kJ per mole of atoms. The value obtained for the volume is 19.63 Å³/atom.



No. 6
Computed, not measured: a relaxed Hf11Ga10 crystal at the meta-GGA r2SCAN level of DFT.

extended XYZ file:
```
42
Lattice="-5.1362 5.1362 7.3359 5.1362 -5.1362 7.3359 5.1362 5.1362 -7.3359" Properties=species:S:1:pos:R:3 pbc="T T T"
Hf 5.1362 2.5583 -2.7627
Hf 3.4287 0.0000 1.5177
Hf 6.8436 0.0000 1.5177
Hf 0.0000 0.0000 2.5993
Hf 5.1362 -1.7075 5.8182
Hf 2.5583 5.1362 -2.7627
Hf 2.5779 0.0000 4.5732
Hf 3.3367 3.3367 0.0000
Hf 1.7995 -1.7995 7.3359
Hf 0.0000 3.4287 1.5177
Hf 5.1362 2.5583 2.7627
Hf 0.0000 2.5779 4.5732
Hf 5.1362 1.7075 5.8182
Hf -1.7995 1.7995 7.3359
Hf 1.7995 1.7995 7.3359
Hf 2.5583 5.1362 2.7627
Hf 2.5779 0.0000 10.0987
Hf 0.0000 6.8436 1.5177
Hf 0.0000 0.0000 12.0726
Hf -1.7075 5.1362 5.8182
Hf 1.7075 5.1362 5.8182
Hf 0.0000 2.5779 10.0987
Ga 2.1220 2.1220 -2.5417
Ga 3.0141 -3.0141 4.7942
Ga 1.3047 1.3047 0.0000
Ga 3.8315 -3.8315 7.3359
Ga 5.1362 1.4712 0.0000
Ga 5.1362 0.0000 3.6680
Ga 2.1220 2.1220 2.5417
Ga 3.0141 -3.0141 9.8776
Ga 0.0000 0.0000 5.7519
Ga 1.4712 5.1362 0.0000
Ga 3.6650 0.0000 7.3359
Ga 0.0000 0.0000 8.9200
Ga -3.0141 3.0141 4.7942
Ga 3.0141 3.0141 4.7942
Ga 0.0000 5.1362 3.6680
Ga 0.0000 3.6650 7.3359
Ga -3.8315 3.8315 7.3359
Ga 3.8315 3.8315 7.3359
Ga -3.0141 3.0141 9.8776
Ga 3.0141 3.0141 9.8776
```

Calculated values
Its space-group type is I4/mmm. As for the energy of formation: -54.8 kJ per mole of atoms. The value obtained for the volume is 18.43 Å³/atom.



No. 7
Computed, not measured: a relaxed Hf2Ga3 crystal at the meta-GGA r2SCAN level of DFT.

extended XYZ file:
```
10
Lattice="0.0000 6.8006 2.7214 4.6750 0.0000 2.7214 4.6750 6.8006 0.0000" Properties=species:S:1:pos:R:3 pbc="T T T"
Hf 5.3176 2.6880 2.7214
Hf 6.3698 6.0883 4.0821
Hf 4.0323 10.9132 2.7214
Hf 2.9801 7.5129 4.0821
Ga 4.6750 6.8006 0.7168
Ga 2.3375 3.4003 2.0775
Ga 4.0245 5.2328 2.7759
Ga 5.3255 8.3684 2.7759
Ga 7.6630 8.6331 4.1366
Ga 6.3620 11.7687 4.1366
```

Calculated values
Its space-group type is Fdd2. As for the energy of formation: -54.3 kJ per mole of atoms. The value obtained for the volume is 17.30 Å³/atom.



No. 8
Computed, not measured: a relaxed HfGa crystal at the meta-GGA r2SCAN level of DFT.

extended XYZ file:
```
24
Lattice="9.1416 0.0000 0.0000 0.0000 8.4842 0.0000 0.0000 0.0000 5.6264" Properties=species:S:1:pos:R:3 pbc="T T T"
Hf 1.0214 2.1210 0.0000
Hf 1.0214 2.1210 2.8132
Hf 1.7729 5.3820 1.4066
Hf 1.7729 7.3442 4.2198
Hf 3.5024 0.2212 1.4066
Hf 3.5024 4.0208 4.2198
Hf 5.6392 4.4633 1.4066
Hf 5.6392 8.2629 4.2198
Hf 7.3687 1.1400 1.4066
Hf 7.3687 3.1021 4.2198
Hf 8.1203 6.3631 0.0000
Hf 8.1203 6.3631 2.8132
Ga 0.7940 4.6632 4.2198
Ga 0.7940 8.0630 1.4066
Ga 3.1964 1.1400 4.2198
Ga 3.1964 3.1020 1.4066
Ga 3.9767 6.3631 0.0000
Ga 3.9767 6.3631 2.8132
Ga 5.1649 2.1210 0.0000
Ga 5.1649 2.1210 2.8132
Ga 5.9452 5.3821 4.2198
Ga 5.9452 7.3441 1.4066
Ga 8.3476 0.4211 4.2198
Ga 8.3476 3.8209 1.4066
```

Calculated values
Its space-group type is Pbcm. As for the energy of formation: -55.8 kJ per mole of atoms. The value obtained for the volume is 18.18 Å³/atom.



No. 9
Computed, not measured: a relaxed Hf2Ga crystal at the meta-GGA r2SCAN level of DFT.

extended XYZ file:
```
6
Lattice="-3.3391 3.3391 2.6204 3.3391 -3.3391 2.6204 3.3391 3.3391 -2.6204" Properties=species:S:1:pos:R:3 pbc="T T T"
Hf 4.3645 1.0254 0.0000
Hf 1.0254 2.3138 0.0000
Hf 2.3138 1.0254 2.6204
Hf -1.0254 2.3138 2.6204
Ga 0.0000 0.0000 1.3102
Ga 0.0000 0.0000 3.9306
```

Calculated values
Its space-group type is I4/mcm. As for the energy of formation: -45.2 kJ per mole of atoms. The value obtained for the volume is 19.48 Å³/atom.



No. 10
Computed, not measured: a relaxed HfMg6GaO8 crystal at the meta-GGA r2SCAN level of DFT.

extended XYZ file:
```
16
Lattice="4.3310 0.0000 0.0000 0.0000 4.3310 0.0000 0.0000 0.0000 8.8707" Properties=species:S:1:pos:R:3 pbc="T T T"
Hf 0.0000 0.0000 0.0000
Mg 0.0000 0.0000 4.4353
Mg 0.0000 2.1655 2.3245
Mg 0.0000 2.1655 6.5462
Mg 2.1655 0.0000 2.3245
Mg 2.1655 0.0000 6.5462
Mg 2.1655 2.1655 4.4353
Ga 2.1655 2.1655 0.0000
O 0.0000 0.0000 2.2657
O 0.0000 0.0000 6.6050
O 0.0000 2.1655 0.0000
O 0.0000 2.1655 4.4353
O 2.1655 0.0000 0.0000
O 2.1655 0.0000 4.4353
O 2.1655 2.1655 2.4457
O 2.1655 2.1655 6.4250
```

Calculated values
Its space-group type is P4/mmm. As for the energy of formation: -242.2 kJ per mole of atoms. The value obtained for the volume is 10.40 Å³/atom.



No. 11
Computed, not measured: a relaxed Hf3Nb2Ga3 crystal at the meta-GGA r2SCAN level of DFT.

extended XYZ file:
```
16
Lattice="7.8943 0.0000 0.0000 -3.9471 6.8367 0.0000 0.0000 0.0000 5.4501" Properties=species:S:1:pos:R:3 pbc="T T T"
Hf -0.9733 1.6858 1.3625
Hf -2.9738 5.1508 4.0876
Hf 1.9466 0.0000 1.3625
Hf 0.9733 1.6858 4.0876
Hf 5.9477 0.0000 4.0876
Hf 2.9738 5.1508 1.3625
Nb 0.0000 4.5578 0.0000
Nb 0.0000 4.5578 2.7251
Nb 3.9471 2.2789 0.0000
Nb 3.9471 2.2789 2.7251
Ga -1.5607 2.7032 4.0876
Ga -2.3865 4.1335 1.3625
Ga 3.1214 0.0000 4.0876
Ga 1.5607 2.7032 1.3625
Ga 4.7729 0.0000 1.3625
Ga 2.3865 4.1335 4.0876
```

Calculated values
Its space-group type is P6_3/mcm. As for the energy of formation: -51.8 kJ per mole of atoms. The value obtained for the volume is 18.38 Å³/atom.



No. 12
Computed, not measured: a relaxed HfGa3Ni12 crystal at the meta-GGA r2SCAN level of DFT.

extended XYZ file:
```
16
Lattice="3.5939 0.0000 0.0000 0.0000 3.5939 0.0000 0.0000 0.0000 14.1609" Properties=species:S:1:pos:R:3 pbc="T T T"
Hf 0.0000 0.0000 0.0000
Ga 0.0000 0.0000 3.6226
Ga 0.0000 0.0000 7.0805
Ga 0.0000 0.0000 10.5383
Ni 0.0000 1.7969 1.8897
Ni 0.0000 1.7969 5.3417
Ni 0.0000 1.7969 8.8192
Ni 0.0000 1.7969 12.2712
Ni 1.7969 0.0000 1.8897
Ni 1.7969 0.0000 5.3417
Ni 1.7969 0.0000 8.8192
Ni 1.7969 0.0000 12.2712
Ni 1.7969 1.7969 0.0000
Ni 1.7969 1.7969 3.6138
Ni 1.7969 1.7969 7.0805
Ni 1.7969 1.7969 10.5471
```

Calculated values
Its space-group type is P4/mmm. As for the energy of formation: -32.2 kJ per mole of atoms. The value obtained for the volume is 11.43 Å³/atom.



No. 13
Computed, not measured: a relaxed HfGaPd crystal at the meta-GGA r2SCAN level of DFT.

extended XYZ file:
```
18
Lattice="7.1446 0.0000 0.0000 -3.5723 6.1874 0.0000 0.0000 0.0000 6.9086" Properties=species:S:1:pos:R:3 pbc="T T T"
Hf -1.3066 2.5319 1.7272
Hf -0.7263 6.0530 1.7272
Hf 2.8460 0.1344 5.1815
Hf 2.0329 3.7899 1.7272
Hf 2.2657 3.6555 5.1815
Hf 5.6052 2.3975 5.1815
Ga -2.6110 4.5224 0.0000
Ga -2.6110 4.5224 3.4543
Ga 0.9613 1.6650 0.0000
Ga 0.9613 1.6650 3.4543
Ga 5.2221 0.0000 0.0000
Ga 5.2221 0.0000 3.4543
Pd 0.0000 0.0000 1.7272
Pd 0.0000 0.0000 5.1815
Pd 0.0000 4.1249 3.6769
Pd 0.0000 4.1249 6.6861
Pd 3.5723 2.0625 0.2226
Pd 3.5723 2.0625 3.2317
```

Calculated values
Its space-group type is P-62c. As for the energy of formation: -73.6 kJ per mole of atoms. The value obtained for the volume is 16.97 Å³/atom.



No. 14
Computed, not measured: a relaxed Hf2GaSb3 crystal at the meta-GGA r2SCAN level of DFT.

extended XYZ file:
```
6
Lattice="3.9076 0.0000 0.0000 0.0000 3.9076 0.0000 0.0000 0.0000 8.6803" Properties=species:S:1:pos:R:3 pbc="T T T"
Hf 0.0000 1.9538 2.0822
Hf 1.9538 0.0000 6.5981
Ga 0.0000 0.0000 4.3402
Sb 0.0000 1.9538 7.6694
Sb 1.9538 0.0000 1.0109
Sb 1.9538 1.9538 4.3402
```

Calculated values
Its space-group type is P-4m2. As for the energy of formation: -48.8 kJ per mole of atoms. The value obtained for the volume is 22.09 Å³/atom.



No. 15
Computed, not measured: a relaxed HfV2Ga4 crystal at the meta-GGA r2SCAN level of DFT.

extended XYZ file:
```
7
Lattice="-3.2005 3.2005 2.5754 3.2005 -3.2005 2.5754 3.2005 3.2005 -2.5754" Properties=species:S:1:pos:R:3 pbc="T T T"
Hf 0.0000 0.0000 0.0000
V 3.2005 0.0000 1.2877
V 0.0000 3.2005 1.2877
Ga 1.9387 1.9387 0.0000
Ga 1.2618 -1.2618 2.5754
Ga -1.2618 1.2618 2.5754
Ga 1.2618 1.2618 2.5754
```

Calculated values
Its space-group type is I4/mmm. As for the energy of formation: -40.0 kJ per mole of atoms. The value obtained for the volume is 15.07 Å³/atom.